Below is an optimized crystal structure of MgMn2P2O10, with properties calculated at the GGA+U level.

Results
Crystal system: orthorhombic
ρ (g cm⁻³): 3.6
Total DFT energy (no corrections) (eV/atom): -6.97
Volume (Å³/atom): 10.99

CIF file:
```
data_MgMn2P2O10
_chemical_formula_sum 'Mg8 Mn16 P16 O80'
_cell_length_a 11.178
_cell_length_b 16.488
_cell_length_c 7.159
_cell_angle_alpha 90.00
_cell_angle_beta 90.00
_cell_angle_gamma 90.00
_symmetry_space_group_name_H-M 'F d d 2'
_symmetry_Int_Tables_number 43
_symmetry_space_group_name_Hall 'F 2 -2d'
loop_
_atom_site_label
_atom_site_type_symbol
_atom_site_fract_x
_atom_site_fract_y
_atom_site_fract_z
Mg1 Mg 0.000 0.000 0.000
Mn1 Mn 0.123 0.124 0.625
P1 P 0.001 0.292 0.500
O1 O 0.002 0.420 0.000
O2 O 0.012 0.149 0.832
O3 O 0.014 0.349 0.671
O4 O 0.112 0.238 0.464
O5 O 0.112 0.261 0.033
```